Compound: La4AsBrO8
Source: the Materials Project
Functional: PBE-GGA
Structure: relaxed

## Properties
The calculation puts the calculated density at 5.6 g/cm³. The magnetization is 0.0 Bohr magnetons per cell. The calculation puts the total DFT energy (no corrections) at -7.630 eV per atom. The formation energy comes out at -3.335 eV per atom. As for the crystal system: tetragonal.

Cell: 8.521 8.521 13.675 Å, 90.00 90.00 90.00°
Positions (direct):
La1 0.013 0.755 0.168
La2 0.013 0.755 0.832
La3 0.245 0.013 0.332
La4 0.245 0.013 0.668
La5 0.245 0.484 0.332
La6 0.245 0.484 0.668
La7 0.484 0.755 0.168
La8 0.484 0.755 0.832
La9 0.516 0.245 0.168
La10 0.516 0.245 0.832
La11 0.755 0.516 0.332
La12 0.755 0.516 0.668
La13 0.755 0.987 0.332
La14 0.755 0.987 0.668
La15 0.987 0.245 0.168
La16 0.987 0.245 0.832
As1 0.043 0.748 0.500
As2 0.252 0.043 0.000
As3 0.748 0.957 0.000
As4 0.957 0.252 0.500
Br1 0.253 0.555 0.000
Br2 0.445 0.253 0.500
Br3 0.555 0.747 0.500
Br4 0.747 0.445 0.000
O1 0.000 0.000 0.250
O2 0.000 0.000 0.750
O3 0.000 0.500 0.239
O4 0.000 0.500 0.761
O5 0.071 0.252 0.396
O6 0.071 0.252 0.604
O7 0.087 0.163 0.000
O8 0.163 0.584 0.500
O9 0.163 0.913 0.500
O10 0.250 0.743 0.270
O11 0.250 0.743 0.730
O12 0.252 0.929 0.104
O13 0.252 0.929 0.896
O14 0.257 0.250 0.230
O15 0.257 0.250 0.770
O16 0.416 0.163 0.000
O17 0.500 0.000 0.261
O18 0.500 0.000 0.739
O19 0.500 0.500 0.250
O20 0.500 0.500 0.750
O21 0.584 0.837 0.000
O22 0.743 0.750 0.230
O23 0.743 0.750 0.770
O24 0.748 0.071 0.104
O25 0.748 0.071 0.896
O26 0.750 0.257 0.270
O27 0.750 0.257 0.730
O28 0.837 0.087 0.500
O29 0.837 0.416 0.500
O30 0.913 0.837 0.000
O31 0.929 0.748 0.396
O32 0.929 0.748 0.604

=====

Compound: NaAs4BrO6
Source: the Materials Project
Functional: PBE-GGA
Structure: relaxed

## Properties
The calculation puts the calculated density at 3.9 g/cm³. The magnetization is 0.0 Bohr magnetons per cell. The calculation puts the total DFT energy (no corrections) at -5.558 eV per atom. The formation energy comes out at -1.628 eV per atom. As for the crystal system: orthorhombic.

Cell: 19.586 5.327 8.214 Å, 90.00 90.00 90.00°
Positions (direct):
Na1 0.057 0.250 0.101
Na2 0.443 0.750 0.601
Na3 0.557 0.250 0.399
Na4 0.943 0.750 0.899
As1 0.048 0.250 0.654
As2 0.115 0.750 0.837
As3 0.166 0.750 0.210
As4 0.178 0.250 0.408
As5 0.322 0.750 0.908
As6 0.334 0.250 0.710
As7 0.385 0.250 0.337
As8 0.452 0.750 0.154
As9 0.548 0.250 0.846
As10 0.615 0.750 0.663
As11 0.666 0.750 0.290
As12 0.678 0.250 0.092
As13 0.822 0.750 0.592
As14 0.834 0.250 0.790
As15 0.885 0.250 0.163
As16 0.952 0.750 0.346
Br1 0.218 0.250 0.004
Br2 0.282 0.750 0.504
Br3 0.718 0.250 0.496
Br4 0.782 0.750 0.996
O1 0.049 0.502 0.807
O2 0.049 0.998 0.807
O3 0.096 0.750 0.054
O4 0.122 0.002 0.323
O5 0.122 0.498 0.323
O6 0.139 0.250 0.611
O7 0.361 0.750 0.111
O8 0.378 0.502 0.823
O9 0.378 0.998 0.823
O10 0.404 0.250 0.554
O11 0.451 0.002 0.307
O12 0.451 0.498 0.307
O13 0.549 0.502 0.693
O14 0.549 0.998 0.693
O15 0.596 0.750 0.446
O16 0.622 0.002 0.177
O17 0.622 0.498 0.177
O18 0.639 0.250 0.889
O19 0.861 0.750 0.389
O20 0.878 0.502 0.677
O21 0.878 0.998 0.677
O22 0.904 0.250 0.946
O23 0.951 0.002 0.193
O24 0.951 0.498 0.193

=====

Compound: Rb2NaAsBr6
Source: the Materials Project
Functional: PBE-GGA
Structure: relaxed

## Properties
The calculation puts the calculated density at 3.6 g/cm³. The magnetization is 0.0 Bohr magnetons per cell. The calculation puts the total DFT energy (no corrections) at -2.973 eV per atom. The formation energy comes out at -1.517 eV per atom. As for the crystal system: cubic.

Cell: 7.906 7.906 7.906 Å, 60.00 60.00 60.00°
Positions (direct):
Rb1 0.250 0.250 0.250
Rb2 0.750 0.750 0.750
Na1 0.000 0.000 0.000
As1 0.500 0.500 0.500
Br1 0.262 0.262 0.738
Br2 0.262 0.738 0.262
Br3 0.262 0.738 0.738
Br4 0.738 0.262 0.262
Br5 0.738 0.262 0.738
Br6 0.738 0.738 0.262

=====

Compound: As3Pb2BrO6
Source: the Materials Project
Functional: PBE-GGA
Structure: relaxed

## Properties
The calculation puts the calculated density at 5.7 g/cm³. The magnetization is 0.0 Bohr magnetons per cell. The calculation puts the total DFT energy (no corrections) at -5.625 eV per atom. The formation energy comes out at -1.575 eV per atom. As for the crystal system: monoclinic.

Cell: 8.426 5.464 10.820 Å, 90.00 108.51 90.00°
Positions (direct):
As1 0.100 0.250 0.179
As2 0.108 0.250 0.841
As3 0.226 0.250 0.581
As4 0.774 0.750 0.419
As5 0.892 0.750 0.159
As6 0.900 0.750 0.821
Pb1 0.343 0.750 0.389
Pb2 0.461 0.750 0.779
Pb3 0.539 0.250 0.221
Pb4 0.657 0.250 0.611
Br1 0.306 0.750 0.069
Br2 0.694 0.250 0.931
O1 0.020 0.503 0.260
O2 0.020 0.997 0.260
O3 0.269 0.250 0.763
O4 0.304 0.250 0.294
O5 0.373 0.007 0.588
O6 0.373 0.493 0.588
O7 0.627 0.507 0.412
O8 0.627 0.993 0.412
O9 0.696 0.750 0.706
O10 0.731 0.750 0.237
O11 0.980 0.003 0.740
O12 0.980 0.497 0.740

=====

Compound: Pr3AsBr3
Source: the Materials Project
Functional: PBE-GGA
Structure: relaxed

## Properties
The calculation puts the calculated density at 5.5 g/cm³. The calculation puts the total DFT energy (no corrections) at -5.031 eV per atom. The formation energy comes out at -1.844 eV per atom. As for the crystal system: cubic.

Cell: 10.468 10.468 10.468 Å, 109.47 109.47 109.47°
Positions (direct):
Pr1 0.011 0.022 0.261
Pr2 0.011 0.489 0.750
Pr3 0.022 0.261 0.011
Pr4 0.239 0.261 0.750
Pr5 0.239 0.478 0.489
Pr6 0.261 0.011 0.022
Pr7 0.261 0.750 0.239
Pr8 0.478 0.489 0.239
Pr9 0.489 0.239 0.478
Pr10 0.489 0.750 0.011
Pr11 0.750 0.011 0.489
Pr12 0.750 0.239 0.261
As1 0.000 0.250 0.500
As2 0.250 0.250 0.250
As3 0.250 0.500 0.000
As4 0.500 0.000 0.250
Br1 0.250 0.755 0.745
Br2 0.250 0.995 0.505
Br3 0.505 0.250 0.995
Br4 0.505 0.755 0.510
Br5 0.510 0.505 0.755
Br6 0.745 0.250 0.755
Br7 0.745 0.995 0.990
Br8 0.755 0.510 0.505
Br9 0.755 0.745 0.250
Br10 0.990 0.745 0.995
Br11 0.995 0.505 0.250
Br12 0.995 0.990 0.745

=====

Compound: Rb3AsBr6
Source: the Materials Project
Functional: PBE-GGA
Structure: relaxed

## Properties
The calculation puts the calculated density at 3.3 g/cm³. The magnetization is 0.0 Bohr magnetons per cell. The calculation puts the total DFT energy (no corrections) at -2.942 eV per atom. The formation energy comes out at -1.520 eV per atom. As for the crystal system: cubic.

Cell: 8.361 8.361 8.361 Å, 60.00 60.00 60.00°
Positions (direct):
Rb1 0.000 0.000 0.000
Rb2 0.250 0.250 0.250
Rb3 0.750 0.750 0.750
As1 0.500 0.500 0.500
Br1 0.275 0.275 0.725
Br2 0.275 0.725 0.275
Br3 0.275 0.725 0.725
Br4 0.725 0.275 0.275
Br5 0.725 0.275 0.725
Br6 0.725 0.725 0.275